An optimized crystal structure of Rb2GeSe3. Source: the Materials Project, functional GGA-PBE.

The structure in POSCAR format:
```
Rb2GeSe3
1.0
6.132 -4.859 1.850
7.696 2.162 0.857
4.409 0.344 9.380
Se Ge Rb
6 2 4
direct
0.297 0.297 0.776
0.887 0.887 0.402
0.250 0.750 0.000
0.750 0.250 0.000
0.113 0.113 0.598
0.703 0.703 0.224
0.881 0.881 0.182
0.119 0.119 0.818
0.187 0.187 0.179
0.589 0.589 0.624
0.813 0.813 0.821
0.411 0.411 0.376
```

An optimized crystal structure of Sb2S5. Source: the Materials Project, functional GGA-PBE.

The structure in POSCAR format:
```
Sb2S5
1.0
7.822 0.000 0.000
0.000 8.962 0.000
0.000 3.052 13.376
Sb S
8 20
direct
0.098 0.461 0.618
0.678 0.910 0.119
0.902 0.539 0.382
0.322 0.090 0.881
0.822 0.410 0.119
0.402 0.961 0.618
0.598 0.039 0.382
0.178 0.590 0.881
0.719 0.673 0.048
0.281 0.327 0.952
0.783 0.854 0.289
0.447 0.195 0.489
0.947 0.305 0.511
0.053 0.695 0.489
0.717 0.354 0.289
0.361 0.089 0.250
0.139 0.589 0.250
0.639 0.911 0.750
0.781 0.173 0.048
0.283 0.646 0.711
0.865 0.570 0.833
0.861 0.411 0.750
0.365 0.930 0.167
0.135 0.430 0.167
0.635 0.070 0.833
0.219 0.827 0.952
0.553 0.805 0.511
0.217 0.146 0.711
```

M_tot = 0.0 μB per cell

no.,MP2020-corrected energy (eV per atom),calculated formation energy (eV per atom)
1,-3.96,-1.111
2,-4.45,-0.314